The following is a GGA-PBE calculation of Sb2IF15 after structural relaxation, from the Materials Project.

Cell lengths 8.680, 15.193, 10.150 Å; angles 90.00, 112.53, 90.00 degrees
Fractional coordinates of all 72 atoms:
Sb1 0.100 0.246 0.114
Sb2 0.100 0.254 0.614
Sb3 0.199 0.549 0.356
Sb4 0.199 0.951 0.856
Sb5 0.801 0.049 0.144
Sb6 0.801 0.451 0.644
Sb7 0.900 0.746 0.386
Sb8 0.900 0.754 0.886
I1 0.301 0.611 0.803
I2 0.301 0.889 0.303
I3 0.699 0.111 0.697
I4 0.699 0.389 0.197
F1 0.011 0.640 0.325
F2 0.011 0.860 0.825
F3 0.026 0.035 0.835
F4 0.026 0.465 0.335
F5 0.056 0.720 0.574
F6 0.056 0.780 0.074
F7 0.081 0.686 0.865
F8 0.081 0.814 0.365
F9 0.138 0.556 0.157
F10 0.138 0.944 0.657
F11 0.190 0.155 0.558
F12 0.190 0.345 0.058
F13 0.223 0.240 0.811
F14 0.223 0.260 0.311
F15 0.229 0.553 0.558
F16 0.229 0.947 0.058
F17 0.252 0.161 0.099
F18 0.252 0.339 0.599
F19 0.264 0.515 0.909
F20 0.264 0.985 0.409
F21 0.342 0.647 0.392
F22 0.342 0.853 0.892
F23 0.361 0.039 0.887
F24 0.361 0.461 0.387
F25 0.409 0.701 0.741
F26 0.409 0.799 0.241
F27 0.417 0.659 0.981
F28 0.417 0.841 0.481
F29 0.482 0.543 0.813
F30 0.482 0.957 0.313
F31 0.518 0.043 0.687
F32 0.518 0.457 0.187
F33 0.583 0.159 0.519
F34 0.583 0.341 0.019
F35 0.591 0.201 0.759
F36 0.591 0.299 0.259
F37 0.639 0.539 0.613
F38 0.639 0.961 0.113
F39 0.658 0.147 0.108
F40 0.658 0.353 0.608
F41 0.736 0.015 0.591
F42 0.736 0.485 0.091
F43 0.748 0.661 0.401
F44 0.748 0.839 0.901
F45 0.771 0.053 0.942
F46 0.771 0.447 0.442
F47 0.777 0.740 0.689
F48 0.777 0.760 0.189
F49 0.810 0.655 0.942
F50 0.810 0.845 0.442
F51 0.862 0.056 0.343
F52 0.862 0.444 0.843
F53 0.919 0.186 0.635
F54 0.919 0.314 0.135
F55 0.944 0.220 0.926
F56 0.944 0.280 0.426
F57 0.974 0.535 0.665
F58 0.974 0.965 0.165
F59 0.989 0.140 0.175
F60 0.989 0.360 0.675

Output
For the formation energy, the calculation gives -2.386 eV/atom. The crystal system is monoclinic.